[1]
The following is a DFT calculation (PBE) of a relaxed structure of Y5Si3N9.

a = 7.5529 Å, b = 10.9897 Å, c = 15.4224 Å
α = 90.00°, β = 90.00°, γ = 136.68°
Element x y z (fractional)
N  0.0000  0.2060  0.3790
N  0.4620  0.2675  0.3481
Y  0.5862  0.2931  0.0000
N  0.5380  0.2325  0.8481
Y  0.5886  0.0582  0.6308
N  0.2683  0.4892  0.4977
N  0.4620  0.7675  0.1519
N  0.7472  0.2331  0.2618
N  0.0000  0.1338  0.5558
Y  0.4114  0.9418  0.3692
Y  0.4138  0.7069  0.0000
Si  0.5000  0.2125  0.2500
Y  0.0000  0.0103  0.8906
N  0.0000  0.8662  0.4442
N  0.5380  0.8055  0.3481
N  0.0000  0.6481  0.2997
N  0.7317  0.0108  0.9977
N  0.7317  0.5108  0.5023
Si  0.5000  0.2875  0.7500
Y  0.0000  0.4897  0.3906
Y  0.5886  0.5305  0.3692
Si  0.0000  0.2433  0.9844
N  0.0000  0.7060  0.1210
N  0.4620  0.6945  0.8481
N  0.7472  0.7331  0.2382
N  0.7317  0.7209  0.0023
N  0.0000  0.1481  0.2003
Si  0.0000  0.2625  0.2760
N  0.7472  0.5141  0.7382
N  0.2528  0.7669  0.7382
N  0.0000  0.7940  0.6210
N  0.2528  0.2669  0.7618
Y  0.0000  0.0032  0.3312
N  0.0000  0.6338  0.9442
Si  0.0000  0.7625  0.2240
Y  0.4114  0.4695  0.6308
N  0.4620  0.1945  0.6519
N  0.2683  0.9892  0.0023
Si  0.0000  0.2375  0.7760
Y  0.4138  0.2069  0.5000
N  0.5380  0.7325  0.6519
Y  0.5886  0.0305  0.1308
Y  0.5862  0.7931  0.5000
Y  0.0000  0.5032  0.1688
Y  0.4114  0.9695  0.8692
Si  0.0000  0.7375  0.7240
Si  0.5000  0.7875  0.7500
N  0.2528  0.9859  0.2382
Si  0.0000  0.2567  0.4844
Y  0.0000  0.9897  0.1094
N  0.0000  0.2940  0.8790
Si  0.0000  0.7567  0.0156
N  0.0000  0.3519  0.7003
N  0.7472  0.0141  0.7618
Y  0.5886  0.5582  0.8692
N  0.0000  0.8519  0.7997
N  0.5380  0.3055  0.1519
N  0.2683  0.7791  0.5023
N  0.7317  0.2209  0.4977
Y  0.0000  0.5103  0.6094
Si  0.0000  0.7433  0.5156
Y  0.0000  0.9968  0.6688
Si  0.5000  0.7125  0.2500
N  0.2683  0.2791  0.9977
N  0.2528  0.4859  0.2618
Y  0.0000  0.4968  0.8312
N  0.0000  0.3662  0.0558
Y  0.4114  0.4418  0.1308

Results
* MP2020-corrected energy: -150.4 eV per formula unit
* spin magnetization: 0.00 Bohr magnetons per cell
* VASP energy: -8.654 eV/atom

=====

[2]
The following is a DFT calculation (PBE) of a relaxed structure of ZnSi7N10.

a = 6.7004 Å, b = 6.9119 Å, c = 9.7055 Å
α = 90.00°, β = 103.79°, γ = 90.00°
Element x y z (fractional)
Si  0.2997  0.6216  0.8824
N  0.0756  0.5689  0.9339
N  0.4501  0.8782  0.1738
N  0.2881  0.5086  0.7225
Si  0.8470  0.3835  0.3069
N  0.6967  0.5803  0.3238
Si  0.4836  0.6312  0.1866
Si  0.6596  0.6342  0.4913
Zn  0.9625  0.9248  0.6777
N  0.4501  0.1218  0.6738
Si  0.1103  0.4004  0.0739
N  0.6967  0.4197  0.8238
Si  0.3527  0.0185  0.0231
N  0.1493  0.8455  0.5475
Si  0.5468  0.0170  0.3256
Si  0.5468  0.9830  0.8256
N  0.3278  0.1312  0.3707
Si  0.8470  0.6165  0.8069
N  0.2881  0.4914  0.2225
N  0.5604  0.8636  0.4733
N  0.8800  0.6070  0.6291
Si  0.2997  0.3784  0.3824
Si  0.1103  0.5996  0.5739
N  0.3278  0.8688  0.8707
N  0.5604  0.1364  0.9733
N  0.4944  0.5404  0.0218
Si  0.3527  0.9815  0.5231
N  0.8800  0.3930  0.1291
N  0.4944  0.4596  0.5218
N  0.7575  0.1476  0.3053
N  0.0756  0.4311  0.4339
Si  0.4836  0.3688  0.6866
Si  0.6596  0.3658  0.9913
N  0.7575  0.8524  0.8053
N  0.1493  0.1545  0.0475
Zn  0.9625  0.0752  0.1777

Results
* MP2020-corrected energy: -141.8 eV per formula unit
* spin magnetization: 0.00 Bohr magnetons per cell
* VASP energy: -7.676 eV/atom

=====

[3]
The following is a DFT calculation (PBE) of a relaxed structure of ZnSiN2.

a = 6.4371 Å, b = 6.4371 Å, c = 5.6380 Å
α = 90.00°, β = 90.00°, γ = 129.15°
Element x y z (fractional)
N  0.5922  0.9078  0.7500
Zn  0.8285  0.1715  0.4290
Zn  0.1715  0.8285  0.5710
N  0.9318  0.0682  0.1699
Si  0.4203  0.5797  0.6343
Zn  0.3285  0.6715  0.0710
Zn  0.6715  0.3285  0.9290
N  0.0682  0.9318  0.8301
Si  0.0797  0.9203  0.1343
N  0.4078  0.0922  0.2500
N  0.4318  0.5682  0.3301
N  0.0922  0.4078  0.7500
Si  0.9203  0.0797  0.8657
N  0.5682  0.4318  0.6699
N  0.9078  0.5922  0.2500
Si  0.5797  0.4203  0.3657

Results
* MP2020-corrected energy: -25.4 eV per formula unit
* spin magnetization: 0.00 Bohr magnetons per cell
* VASP energy: -6.162 eV/atom

=====

[4]
The following is a DFT calculation (PBE) of a relaxed structure of Zr5Si3N9.

a = 7.4114 Å, b = 10.9175 Å, c = 14.5947 Å
α = 90.00°, β = 90.00°, γ = 137.44°
Element x y z (fractional)
Zr  0.3858  0.1929  0.5000
Si  0.5000  0.7186  0.2500
Zr  0.0000  0.0012  0.0966
N  0.0000  0.8102  0.6171
N  0.7426  0.2313  0.2680
N  0.2652  0.2694  0.9994
N  0.2652  0.7694  0.5006
N  0.0000  0.3102  0.8829
N  0.2574  0.9887  0.2320
N  0.7426  0.7313  0.2320
Si  0.5000  0.2186  0.2500
N  0.2574  0.7687  0.7320
N  0.0000  0.3575  0.0667
N  0.7426  0.5113  0.7320
Si  0.0000  0.2615  0.2818
Si  0.0000  0.7414  0.5150
Zr  0.6162  0.5699  0.8681
N  0.5489  0.2262  0.8491
Zr  0.6142  0.3071  0.0000
Zr  0.0000  0.4988  0.5966
Zr  0.3838  0.4301  0.1319
Si  0.5000  0.7814  0.7500
Zr  0.0000  0.9988  0.9034
Zr  0.0000  0.5012  0.4034
N  0.0000  0.6898  0.1171
Zr  0.6142  0.8071  0.5000
Zr  0.3838  0.4537  0.6319
N  0.4511  0.2738  0.3491
N  0.2574  0.4887  0.2680
Zr  0.6162  0.0699  0.6319
Zr  0.3838  0.9301  0.3681
Zr  0.0000  0.4986  0.8277
N  0.0000  0.6532  0.3034
Zr  0.0000  0.9986  0.6723
Si  0.0000  0.2385  0.7818
N  0.0000  0.1898  0.3829
Zr  0.6162  0.5463  0.3681
N  0.4511  0.1773  0.6509
N  0.0000  0.1532  0.1966
Si  0.0000  0.7586  0.0150
Si  0.0000  0.7615  0.2182
N  0.7348  0.5042  0.5006
N  0.2652  0.9958  0.0006
Si  0.0000  0.2414  0.9850
N  0.2652  0.4958  0.4994
N  0.5489  0.8227  0.3491
N  0.5489  0.7262  0.6509
Zr  0.6162  0.0463  0.1319
N  0.7348  0.2306  0.4994
N  0.7348  0.0042  0.9994
N  0.7348  0.7306  0.0006
Si  0.5000  0.2814  0.7500
N  0.0000  0.1425  0.5667
N  0.2574  0.2687  0.7680
N  0.0000  0.8468  0.8034
N  0.7426  0.0113  0.7680
Si  0.0000  0.2586  0.4850
N  0.0000  0.6425  0.9333
Si  0.0000  0.7385  0.7182
N  0.4511  0.6773  0.8491
Zr  0.0000  0.0014  0.3277
Zr  0.0000  0.5014  0.1723
Zr  0.3838  0.9537  0.8681
N  0.0000  0.3468  0.6966
N  0.4511  0.7738  0.1509
Zr  0.3858  0.6929  0.0000
N  0.0000  0.8575  0.4333
N  0.5489  0.3227  0.1509

Results
* MP2020-corrected energy: -153.9 eV per formula unit
* spin magnetization: 0.49 Bohr magnetons per cell
* VASP energy: -8.861 eV/atom

=====

[5]
The following is a DFT calculation (PBE) of a relaxed structure of SmThN2.

a = 6.2644 Å, b = 6.2644 Å, c = 6.2644 Å
α = 33.74°, β = 33.74°, γ = 33.74°
Element x y z (fractional)
Th  0.0000  0.0000  0.0000
Sm  0.5000  0.5000  0.5000
N  0.7472  0.7472  0.7472
N  0.2527  0.2527  0.2527

Results
* MP2020-corrected energy: -35.7 eV per formula unit
* VASP energy: -8.756 eV/atom

=====

[6]
The following is a DFT calculation (PBE) of a relaxed structure of SnN.

a = 3.5122 Å, b = 3.5122 Å, c = 5.5552 Å
α = 87.36°, β = 87.36°, γ = 74.32°
Element x y z (fractional)
N  0.5381  0.5381  0.5487
Sn  0.1634  0.1634  0.4511
N  0.2128  0.2128  0.0567
Sn  0.5929  0.5929  0.9434

Results
* MP2020-corrected energy: -11.7 eV per formula unit
* spin magnetization: 0.00 Bohr magnetons per cell
* VASP energy: -5.680 eV/atom

=====

What did we get for energy of formation? Answer: -26.7, -19.2, -2.0, -19.8, -6.9, 0.6 eV/f.u., in the order shown.